Na2VPCO7 after structural relaxation, computed with GGA+U.

Properties
Its formation enthalpy at 0 K is -2429 meV/atom. The calculation puts the raw total energy at -6.970 eV per atom. For the energy relative to the lowest polymorph listed for this composition, the calculation gives 0.007 eV/atom.

abc: 8.4066 8.4074 10.2537
angles: 72.24 107.76 78.69
With the nearest neighbours (Å) after each atom.
Sites, in units of the cell vectors:
O 0.2664 0.9638 0.8286  1 C 1.32
O 0.9279 0.8413 0.5285  1 P 1.55
O 0.1471 0.5949 0.4358  1 P 1.54
O 0.7359 0.8288 0.6790  1 P 1.56
O 0.6471 0.0949 0.4362  1 P 1.54
O 0.3374 0.9285 0.0701  1 C 1.27
O 0.8448 0.3970 0.5639  1 P 1.54
O 0.5913 0.6781 0.4713  1 P 1.55
O 0.7140 0.0160 0.1717  1 C 1.32
O 0.1028 0.1533 0.8832  1 C 1.32
O 0.1787 0.5874 0.9300  1 C 1.27
O 0.4095 0.5314 0.6762  1 P 1.56
O 0.9100 0.0310 0.6763  1 P 1.56
O 0.6780 0.0879 0.9301  1 C 1.26
O 0.7661 0.4638 0.8283  1 C 1.32
O 0.4279 0.3411 0.5288  1 P 1.55
O 0.3450 0.8972 0.5641  1 P 1.54
O 0.0911 0.1779 0.4715  1 P 1.55
O 0.2355 0.3291 0.6790  1 P 1.56
O 0.2138 0.5164 0.1715  1 C 1.32
O 0.2811 0.1601 0.3238  1 P 1.56
O 0.4032 0.3526 0.1169  1 C 1.32
O 0.7814 0.6596 0.3237  1 P 1.56
O 0.5787 0.4861 0.3208  1 P 1.56
O 0.8378 0.4280 0.0698  1 C 1.26
O 0.0791 0.9856 0.3210  1 P 1.56
O 0.6032 0.6532 0.8833  1 C 1.32
O 0.9033 0.8532 0.1165  1 C 1.32
V 0.5695 0.6894 0.6621  6 O 2.00-2.11
V 0.4392 0.3196 0.3380  6 O 2.00-2.11
V 0.9395 0.8195 0.3378  6 O 1.99-2.12
V 0.0697 0.1892 0.6622  6 O 1.99-2.11
Na 0.4996 0.9654 0.2754  5 O 2.28-2.48
Na 0.0471 0.1849 0.0835  4 O 2.32-2.56
Na 0.5470 0.6856 0.0831  4 O 2.32-2.56
Na 0.4350 0.2973 0.9166  4 O 2.32-2.56
Na 0.9355 0.7968 0.9168  4 O 2.32-2.56
Na 0.7150 0.2495 0.7245  5 O 2.28-2.48
Na 0.9997 0.4647 0.2755  5 O 2.28-2.48
Na 0.2151 0.7499 0.7246  5 O 2.28-2.48
C 0.2605 0.4892 0.0666  3 O 1.27-1.32
C 0.2393 0.0105 0.9335  3 O 1.27-1.32
C 0.7604 0.9894 0.0666  3 O 1.26-1.32
C 0.7394 0.5103 0.9333  3 O 1.26-1.32
P 0.7017 0.5516 0.4253  4 O 1.54-1.56
P 0.3015 0.4517 0.5746  4 O 1.54-1.56
P 0.8017 0.9516 0.5747  4 O 1.54-1.56
P 0.2016 0.0516 0.4254  4 O 1.54-1.56

***

LiMnO2 after structural relaxation, computed with GGA+U.

Properties
Its formation enthalpy at 0 K is -2117 meV/atom. The calculation puts the raw total energy at -6.599 eV per atom.

abc: 5.1473 5.2151 5.6750
angles: 90.00 90.00 90.00
With the nearest neighbours (Å) after each atom.
Sites, in units of the cell vectors:
O 0.7879 0.1520 0.7511  2 Mn 1.95-1.96, 1 Li 2.12
O 0.7121 0.6520 0.9989  2 Mn 1.95-1.96, 1 Li 2.12
O 0.7879 0.1520 0.2511  2 Mn 1.95-1.96, 1 Li 2.12
O 0.2121 0.8480 0.2511  2 Mn 1.95-1.96, 1 Li 2.12
O 0.2879 0.3480 0.9989  2 Mn 1.95-1.96, 1 Li 2.12
O 0.7121 0.6520 0.4989  2 Mn 1.95-1.96, 1 Li 2.12
O 0.2121 0.8480 0.7511  2 Mn 1.95-1.96, 1 Li 2.12
O 0.2879 0.3480 0.4989  2 Mn 1.95-1.96, 1 Li 2.12
Li 0.0000 0.5000 0.7501  6 O 2.12-2.20
Li 0.5000 0.0000 0.9999  6 O 2.12-2.20
Li 0.0000 0.5000 0.2501  6 O 2.12-2.20
Li 0.5000 0.0000 0.4999  6 O 2.12-2.20
Mn 0.5000 0.5000 0.2497  4 O 1.95-1.96
Mn 0.0000 0.0000 0.0003  4 O 1.95-1.96
Mn 0.0000 0.0000 0.5003  4 O 1.95-1.96
Mn 0.5000 0.5000 0.7497  4 O 1.95-1.96

***

CrSnP2O8 after structural relaxation, computed with GGA+U.

Properties
Its formation enthalpy at 0 K is -2446 meV/atom. The calculation puts the raw total energy at -7.160 eV per atom.

abc: 6.1673 10.0641 11.2450
angles: 115.38 90.00 89.99
With the nearest neighbours (Å) after each atom.
Sites, in units of the cell vectors:
O 0.7500 0.0845 0.8689  1 P 1.55
O 0.0579 0.7105 0.1738  1 P 1.59
O 0.5581 0.7895 0.8261  1 P 1.59
O 0.4507 0.9446 0.6652  1 P 1.58
O 0.2500 0.8125 0.4483  1 P 1.56
O 0.7499 0.7997 0.3888  1 P 1.51
O 0.7500 0.1876 0.5517  1 P 1.56
O 0.9506 0.0554 0.3348  1 P 1.58
O 0.4507 0.4445 0.6652  1 P 1.58
O 0.2499 0.1585 0.9543  1 P 1.50
O 0.2499 0.4155 0.1311  1 P 1.55
O 0.2500 0.7003 0.6112  1 P 1.51
O 0.7500 0.5845 0.8690  1 P 1.55
O 0.2500 0.3125 0.4483  1 P 1.56
O 0.7499 0.2998 0.3889  1 P 1.51
O 0.9420 0.2894 0.8262  1 P 1.59
O 0.5580 0.2895 0.8262  1 P 1.59
O 0.2500 0.2002 0.6111  1 P 1.51
O 0.7500 0.8416 0.0458  1 P 1.50
O 0.7500 0.6875 0.5517  1 P 1.56
O 0.0495 0.9446 0.6652  1 P 1.58
O 0.2499 0.6584 0.9543  1 P 1.51
O 0.9506 0.5554 0.3348  1 P 1.58
O 0.0495 0.4446 0.6652  1 P 1.58
O 0.4420 0.7105 0.1738  1 P 1.59
O 0.0580 0.2105 0.1738  1 P 1.59
O 0.7499 0.3415 0.0457  1 P 1.51
O 0.9421 0.7894 0.8261  1 P 1.59
O 0.5494 0.5554 0.3348  1 P 1.58
O 0.4419 0.2106 0.1738  1 P 1.59
O 0.5494 0.0554 0.3348  1 P 1.58
O 0.2499 0.9155 0.1310  1 P 1.55
Cr 0.7499 0.8202 0.2174  4 O 2.02-2.15
Cr 0.2501 0.1798 0.7827  4 O 2.03-2.15
Cr 0.2500 0.6797 0.7825  4 O 2.02-2.15
Cr 0.7499 0.3201 0.2174  4 O 2.02-2.15
Sn 0.2500 0.1194 0.2832  6 O 2.03-2.17
Sn 0.7502 0.3806 0.7168  6 O 2.03-2.17
Sn 0.2500 0.6194 0.2832  6 O 2.03-2.17
Sn 0.7502 0.8806 0.7168  6 O 2.03-2.17
P 0.7500 0.7498 0.8992  4 O 1.50-1.59
P 0.7500 0.2497 0.8991  4 O 1.51-1.59
P 0.7500 0.6572 0.4037  4 O 1.51-1.58
P 0.7500 0.1572 0.4038  4 O 1.51-1.58
P 0.2501 0.8428 0.5962  4 O 1.51-1.58
P 0.2499 0.2503 0.1008  4 O 1.50-1.59
P 0.2501 0.3428 0.5962  4 O 1.51-1.58
P 0.2499 0.7503 0.1009  4 O 1.51-1.59

***

Sr4LiMn2Cu3S4O4 after structural relaxation, computed with GGA+U.

Properties
Its formation enthalpy at 0 K is -1767 meV/atom. The calculation puts the raw total energy at -5.519 eV per atom. For the energy relative to the lowest polymorph listed for this composition, the calculation gives 0.075 eV/atom.

abc: 5.8371 6.2277 9.0480
angles: 94.17 69.84 93.47
With the nearest neighbours (Å) after each atom.
Sites, in units of the cell vectors:
Sr 0.6265 0.0213 0.8079  3 O 2.45-2.57
Sr 0.3744 0.9623 0.2258  3 O 2.56-2.81
Sr 0.0693 0.6081 0.7776  3 O 2.52-2.58, 1 Li 2.72
Sr 0.9145 0.4439 0.1856  3 O 2.44-2.64
Cu 0.5459 0.7199 0.4792  3 S 2.34-2.41
Cu 0.4764 0.2812 0.5186  3 S 2.28-2.47
Cu 0.9826 0.2769 0.4982  4 S 2.44-2.54
S 0.8030 0.0060 0.3579  3 Cu 2.34-2.61, 1 Mn 2.48
S 0.6559 0.5162 0.6538  3 Cu 2.28-2.46
S 0.3425 0.4798 0.3380  3 Cu 2.41-2.47
S 0.1835 0.0166 0.6156  2 Cu 2.29-2.54, 1 Li 2.33
O 0.7209 0.8019 0.9925  2 Mn 2.01-2.23
O 0.2123 0.6916 0.0160  2 Mn 2.04-2.10
O 0.8158 0.3174 0.9471  1 Li 1.86
O 0.2609 0.1828 0.0152  1 Li 1.88, 1 Mn 2.09
Mn 0.5018 0.4943 0.9964  4 O 2.09-2.31
Mn 0.9828 0.9426 0.0677  3 O 2.01-2.09
Li 0.1248 0.2060 0.8570  2 O 1.86-1.88

***

CaVF4 after structural relaxation, computed with GGA+U.

Properties
Its formation enthalpy at 0 K is -3544 meV/atom. The calculation puts the raw total energy at -6.077 eV per atom.

abc: 6.5190 6.5190 5.4721
angles: 69.24 69.24 49.03
With the nearest neighbours (Å) after each atom.
Sites, in units of the cell vectors:
Ca 0.7494 0.2506 0.2500  6 F 2.26-2.46
Ca 0.2506 0.7494 0.7500  6 F 2.26-2.46
F 0.6631 0.5515 0.4772  1 V 2.04, 1 Ca 2.26
F 0.1118 0.1768 0.8579  2 V 2.21-2.30, 1 Ca 2.46
F 0.1768 0.1118 0.3579  2 V 2.21-2.30, 1 Ca 2.46
F 0.4485 0.3369 0.0228  1 V 2.04, 1 Ca 2.26
F 0.8232 0.8882 0.6421  2 V 2.21-2.30, 1 Ca 2.46
F 0.5515 0.6631 0.9772  1 V 2.04, 1 Ca 2.26
F 0.8882 0.8232 0.1421  2 V 2.21-2.30, 1 Ca 2.46
F 0.3369 0.4485 0.5228  1 V 2.04, 1 Ca 2.26
V 0.0000 0.5000 0.5000  4 F 2.04-2.21
V 0.5000 0.0000 0.0000  4 F 2.04-2.21

***

MgCr3Fe2O8 after structural relaxation, computed with GGA+U.

Properties
Its formation enthalpy at 0 K is -2237 meV/atom. The calculation puts the raw total energy at -7.314 eV per atom.

abc: 6.0320 6.0567 6.0438
angles: 59.69 60.07 60.14
With the nearest neighbours (Å) after each atom.
Sites, in units of the cell vectors:
Mg 0.2496 0.2496 0.2513  4 O 2.01-2.02
Cr 0.6252 0.6246 0.6247  6 O 2.03-2.05
Cr 0.1255 0.6246 0.6247  6 O 2.03-2.05
Cr 0.6248 0.1253 0.6252  6 O 2.03-2.05
O 0.8611 0.8651 0.4126  3 Cr 2.04, 1 Fe 2.05
O 0.8660 0.8615 0.8596  2 Cr 2.03, 2 Fe 2.03-2.05
O 0.4129 0.8615 0.8596  2 Cr 2.03, 2 Fe 2.03-2.05
O 0.3870 0.3849 0.8411  1 Mg 2.02, 3 Cr 2.04-2.05
O 0.3856 0.8425 0.3864  1 Mg 2.01, 2 Cr 2.04, 1 Fe 2.05
O 0.8424 0.3854 0.3883  1 Mg 2.01, 2 Cr 2.04-2.05, 1 Fe 2.04
O 0.3838 0.3854 0.3883  1 Mg 2.01, 2 Cr 2.04-2.05, 1 Fe 2.04
O 0.8618 0.4129 0.8635  2 Fe 2.03-2.05, 2 Cr 2.03
Fe 0.6236 0.6245 0.1282  6 O 2.04-2.05
Fe 0.0008 0.0019 0.9966  4 O 2.03-2.05

***

| no. | mass density (g cm⁻³) |
| --- | --- |
| 1 | 2.686 |
| 2 | 4.093 |
| 3 | 3.799 |
| 4 | 4.588 |
| 5 | 3.430 |
| 6 | 4.471 |